VASP calculation (PBE) on Na5Bi2PC4O16 after structural relaxation.

Lattice parameters (Å, degrees): 10.356 10.370 17.923 73.77 73.69 60.31
Space group P1 (No. 1)
Unique sites:
Na (0.000, 0.000, 0.000) x1
Na (0.001, 0.379, 0.001) x1
Na (0.121, 0.878, 0.500) x1
Na (0.124, 0.125, 0.631) x1
Na (0.133, 0.500, 0.627) x1
Na (0.246, 0.004, 0.131) x1
Na (0.311, 0.686, 0.310) x1
Na (0.318, 0.313, 0.433) x1
Na (0.433, 0.813, 0.933) x1
Na (0.434, 0.197, 0.933) x1
Na (0.501, 0.879, 0.501) x1
Na (0.621, 0.011, 0.128) x1
Na (0.628, 0.614, 0.123) x1
Na (0.688, 0.689, 0.311) x1
Na (0.734, 0.507, 0.623) x1
Na (0.808, 0.190, 0.810) x1
Na (0.810, 0.567, 0.811) x1
Na (0.822, 0.811, 0.935) x1
Na (0.932, 0.700, 0.435) x1
Na (0.933, 0.312, 0.434) x1
Bi (0.225, 0.593, 0.968) x1
Bi (0.463, 0.849, 0.720) x1
Bi (0.464, 0.346, 0.716) x1
Bi (0.468, 0.342, 0.216) x1
Bi (0.714, 0.105, 0.467) x1
Bi (0.965, 0.851, 0.218) x1
Bi (0.971, 0.842, 0.719) x1
Bi (0.972, 0.341, 0.221) x1
P (0.028, 0.411, 0.531) x1
P (0.405, 0.784, 0.406) x1
P (0.532, 0.907, 0.031) x1
P (0.905, 0.284, 0.906) x1
C (0.021, 0.012, 0.329) x1
C (0.103, 0.491, 0.303) x1
C (0.134, 0.516, 0.828) x1
C (0.135, 0.899, 0.830) x1
C (0.298, 0.289, 0.104) x1
C (0.298, 0.685, 0.109) x1
C (0.328, 0.708, 0.636) x1
C (0.410, 0.176, 0.605) x1
C (0.522, 0.516, 0.827) x1
C (0.612, 0.983, 0.803) x1
C (0.635, 0.401, 0.327) x1
C (0.636, 0.014, 0.329) x1
C (0.801, 0.790, 0.607) x1
C (0.807, 0.176, 0.608) x1
C (0.831, 0.205, 0.136) x1
C (0.911, 0.679, 0.107) x1
O (0.005, 0.638, 0.827) x1
O (0.029, 0.883, 0.328) x1
O (0.057, 0.192, 0.939) x1
O (0.066, 0.962, 0.770) x1
O (0.072, 0.082, 0.266) x1
O (0.075, 0.838, 0.895) x1
O (0.089, 0.372, 0.305) x1
O (0.121, 0.256, 0.501) x1
O (0.121, 0.502, 0.500) x1
O (0.172, 0.283, 0.111) x1
O (0.191, 0.456, 0.893) x1
O (0.200, 0.716, 0.633) x1
O (0.204, 0.459, 0.765) x1
O (0.227, 0.758, 0.168) x1
O (0.234, 0.481, 0.302) x1
O (0.244, 0.739, 0.043) x1
O (0.264, 0.893, 0.827) x1
O (0.309, 0.695, 0.435) x1
O (0.313, 0.935, 0.439) x1
O (0.336, 0.832, 0.634) x1
O (0.350, 0.104, 0.663) x1
O (0.351, 0.353, 0.038) x1
O (0.371, 0.230, 0.163) x1
O (0.377, 0.999, 0.001) x1
O (0.403, 0.301, 0.611) x1
O (0.421, 0.561, 0.115) x1
O (0.438, 0.809, 0.313) x1
O (0.447, 0.580, 0.643) x1
O (0.451, 0.580, 0.889) x1
O (0.477, 0.123, 0.538) x1
O (0.495, 0.113, 0.802) x1
O (0.505, 0.873, 0.123) x1
O (0.518, 0.144, 0.324) x1
O (0.527, 0.390, 0.823) x1
O (0.560, 0.696, 0.435) x1
O (0.565, 0.466, 0.267) x1
O (0.580, 0.331, 0.389) x1
O (0.589, 0.581, 0.768) x1
O (0.601, 0.863, 0.803) x1
O (0.623, 0.000, 0.000) x1
O (0.623, 0.755, 0.998) x1
O (0.676, 0.785, 0.611) x1
O (0.691, 0.955, 0.395) x1
O (0.702, 0.206, 0.143) x1
O (0.702, 0.942, 0.270) x1
O (0.735, 0.246, 0.668) x1
O (0.744, 0.970, 0.804) x1
O (0.756, 0.231, 0.542) x1
O (0.759, 0.406, 0.325) x1
O (0.817, 0.187, 0.935) x1
O (0.817, 0.439, 0.935) x1
O (0.838, 0.327, 0.135) x1
O (0.853, 0.609, 0.167) x1
O (0.856, 0.855, 0.542) x1
O (0.872, 0.728, 0.667) x1
O (0.877, 0.502, 0.498) x1
O (0.904, 0.806, 0.111) x1
O (0.931, 0.317, 0.813) x1
O (0.933, 0.052, 0.614) x1
O (0.954, 0.078, 0.132) x1
O (0.959, 0.071, 0.394) x1
O (0.976, 0.625, 0.041) x1
O (0.983, 0.622, 0.303) x1
O (0.994, 0.384, 0.623) x1

## Properties
The calculation puts the formation energy at -2.003 eV/atom.


VASP calculation (PBE) on Na5Bi2PC4O16 after structural relaxation.

Lattice parameters (Å, degrees): 10.373 10.392 17.968 74.09 73.29 60.28
Space group P1 (No. 1)
Unique sites:
Na (0.000, 0.000, 0.000) x1
Na (0.000, 0.386, 0.000) x1
Na (0.063, 0.070, 0.184) x1
Na (0.107, 0.888, 0.497) x1
Na (0.181, 0.952, 0.684) x1
Na (0.183, 0.570, 0.683) x1
Na (0.195, 0.199, 0.809) x1
Na (0.306, 0.080, 0.307) x1
Na (0.307, 0.693, 0.307) x1
Na (0.372, 0.762, 0.874) x1
Na (0.493, 0.261, 0.373) x1
Na (0.497, 0.507, 0.503) x1
Na (0.505, 0.882, 0.500) x1
Na (0.615, 0.386, 0.000) x1
Na (0.682, 0.070, 0.183) x1
Na (0.692, 0.694, 0.307) x1
Na (0.792, 0.208, 0.807) x1
Na (0.801, 0.578, 0.806) x1
Na (0.873, 0.261, 0.374) x1
Na (0.989, 0.762, 0.875) x1
Bi (0.087, 0.487, 0.340) x1
Bi (0.341, 0.233, 0.087) x1
Bi (0.344, 0.224, 0.592) x1
Bi (0.347, 0.720, 0.093) x1
Bi (0.586, 0.988, 0.840) x1
Bi (0.835, 0.233, 0.593) x1
Bi (0.836, 0.728, 0.589) x1
Bi (0.839, 0.720, 0.094) x1
P (0.274, 0.668, 0.778) x1
P (0.401, 0.792, 0.404) x1
P (0.778, 0.165, 0.279) x1
P (0.904, 0.290, 0.904) x1
C (0.008, 0.782, 0.201) x1
C (0.010, 0.395, 0.203) x1
C (0.174, 0.172, 0.479) x1
C (0.180, 0.557, 0.482) x1
C (0.201, 0.591, 0.009) x1
C (0.281, 0.057, 0.981) x1
C (0.394, 0.394, 0.202) x1
C (0.475, 0.873, 0.176) x1
C (0.505, 0.898, 0.702) x1
C (0.507, 0.280, 0.702) x1
C (0.675, 0.674, 0.976) x1
C (0.680, 0.057, 0.981) x1
C (0.702, 0.089, 0.509) x1
C (0.783, 0.557, 0.478) x1
C (0.895, 0.896, 0.702) x1
C (0.984, 0.365, 0.675) x1
O (0.050, 0.165, 0.485) x1
O (0.064, 0.336, 0.268) x1
O (0.072, 0.598, 0.008) x1
O (0.077, 0.325, 0.142) x1
O (0.108, 0.628, 0.541) x1
O (0.116, 0.352, 0.677) x1
O (0.131, 0.610, 0.416) x1
O (0.132, 0.787, 0.197) x1
O (0.174, 0.585, 0.807) x1
O (0.179, 0.825, 0.810) x1
O (0.210, 0.713, 0.006) x1
O (0.223, 0.986, 0.041) x1
O (0.228, 0.238, 0.415) x1
O (0.246, 0.111, 0.539) x1
O (0.250, 0.883, 0.372) x1
O (0.273, 0.183, 0.987) x1
O (0.297, 0.705, 0.686) x1
O (0.305, 0.432, 0.487) x1
O (0.321, 0.463, 0.014) x1
O (0.332, 0.451, 0.267) x1
O (0.347, 0.003, 0.915) x1
O (0.357, 0.003, 0.175) x1
O (0.366, 0.766, 0.496) x1
O (0.376, 0.019, 0.700) x1
O (0.402, 0.266, 0.199) x1
O (0.424, 0.582, 0.810) x1
O (0.437, 0.349, 0.642) x1
O (0.447, 0.213, 0.763) x1
O (0.447, 0.463, 0.139) x1
O (0.462, 0.754, 0.177) x1
O (0.494, 0.637, 0.374) x1
O (0.494, 0.883, 0.373) x1
O (0.551, 0.666, 0.982) x1
O (0.561, 0.842, 0.766) x1
O (0.573, 0.098, 0.506) x1
O (0.577, 0.838, 0.638) x1
O (0.607, 0.860, 0.176) x1
O (0.608, 0.129, 0.041) x1
O (0.629, 0.111, 0.916) x1
O (0.635, 0.274, 0.700) x1
O (0.681, 0.078, 0.307) x1
O (0.686, 0.315, 0.313) x1
O (0.710, 0.211, 0.507) x1
O (0.723, 0.486, 0.536) x1
O (0.727, 0.740, 0.911) x1
O (0.748, 0.613, 0.034) x1
O (0.749, 0.383, 0.875) x1
O (0.775, 0.682, 0.485) x1
O (0.804, 0.932, 0.987) x1
O (0.813, 0.188, 0.186) x1
O (0.820, 0.961, 0.516) x1
O (0.830, 0.950, 0.768) x1
O (0.849, 0.504, 0.412) x1
O (0.868, 0.495, 0.675) x1
O (0.875, 0.257, 0.995) x1
O (0.890, 0.523, 0.199) x1
O (0.900, 0.771, 0.696) x1
O (0.933, 0.078, 0.308) x1
O (0.937, 0.846, 0.141) x1
O (0.954, 0.711, 0.263) x1
O (0.955, 0.966, 0.643) x1
O (0.972, 0.246, 0.676) x1
O (0.994, 0.383, 0.873) x1
O (0.995, 0.138, 0.871) x1

## Properties
The calculation puts the formation energy at -2.003 eV/atom.


How do the records compare in offset from the most stable computed form? In the order shown, they have 7; 7 meV per atom.